Record 1
The following is a PBE calculation of an optimized crystal structure of U2Cu5Ni5, from the Materials Project database.

Cell lengths 8.4201, 4.7711, 8.3341 Å; angles 90.00, 108.78, 90.00 degrees
Last column: nearest neighbours and their distance in Å.
Space group Cm (No. 8)
Asymmetric unit:
1 U 0.0000 0.0000 0.0000 [2 per cell]  7 Ni 2.80-3.02, 9 Cu 2.81-2.85
2 U 0.0009 0.5000 0.5025 [2 per cell]  10 Ni 2.79-3.02, 6 Cu 2.83-2.86
3 Cu 0.1929 0.2472 0.8120 [4 per cell]  3 Cu 2.36-2.43, 3 Ni 2.39-2.44
4 Cu 0.1928 0.2519 0.3126 [4 per cell]  3 Cu 2.37-2.40, 3 Ni 2.41-2.43
5 Cu 0.1929 0.5000 0.0652 [2 per cell]  4 Cu 2.38-2.43, 2 Ni 2.42-2.45
6 Ni 0.1921 0.0000 0.5629 [2 per cell]  4 Cu 2.39-2.41, 2 Ni 2.44
7 Ni 0.3783 0.0000 0.1246 [2 per cell]  9 Cu 2.81-2.86, 3 Ni 2.81, 4 U 2.92-3.02
8 Ni 0.3794 0.5000 0.6272 [2 per cell]  6 Ni 2.80-2.85, 6 Cu 2.80-2.85, 4 U 2.92-3.02
9 Ni 0.4420 0.0000 0.8133 [2 per cell]  5 Cu 2.40-2.45, 1 Ni 2.44
10 Ni 0.4422 0.5000 0.3124 [2 per cell]  5 Cu 2.41-2.43, 1 Ni 2.44

Properties
E_form: -0.054 eV per atom
Crystal system: monoclinic

***

Record 2
The following is a PBE calculation of an optimized crystal structure of Y2Cu5Ni12, from the Materials Project database.

Cell lengths 8.3393, 14.4093, 8.1327 Å; angles 90.00, 90.00, 90.00 degrees
Last column: nearest neighbours and their distance in Å.
Space group Cmcm (No. 63)
Asymmetric unit:
1 Y 0.0000 0.9996 0.2500 [4 per cell]  18 Ni 2.88-3.22
2 Y 0.0000 0.3337 0.2500 [4 per cell]  8 Cu 2.89-3.15, 12 Ni 2.97-3.08
3 Cu 0.0000 0.3333 0.6050 [8 per cell]  4 Cu 2.36-2.55, 3 Ni 2.63-2.64
4 Cu 0.0000 0.5000 0.0000 [4 per cell]  8 Ni 2.42-2.43, 2 Cu 2.55
5 Cu 0.2500 0.2500 0.0000 [8 per cell]  8 Ni 2.42-2.43, 2 Cu 2.55
6 Ni 0.0000 0.1642 0.0181 [8 per cell]  6 Ni 2.39-2.52, 3 Cu 2.43-2.63
7 Ni 0.1440 0.1820 0.7500 [8 per cell]  6 Ni 2.40-2.58, 2 Cu 2.42
8 Ni 0.1550 0.4810 0.7500 [8 per cell]  6 Ni 2.40-2.59, 2 Cu 2.42
9 Ni 0.2008 0.1629 0.2500 [8 per cell]  6 Ni 2.40-2.58, 2 Cu 2.42
10 Ni 0.2464 0.0821 0.5182 [16 per cell]  6 Ni 2.38-2.52, 3 Cu 2.42-2.64

Properties
E_form: -0.164 eV per atom
Crystal system: orthorhombic

***

Record 3
The following is a PBE calculation of an optimized crystal structure of Y2Cu5Ni5, from the Materials Project database.

Cell lengths 3.9688, 4.9954, 8.6260 Å; angles 90.00, 90.00, 90.00 degrees
Last column: nearest neighbours and their distance in Å.
Space group Pmmm (No. 47)
Asymmetric unit:
1 Y 0.0000 0.0000 0.0000 [1 per cell]  6 Cu 2.85-2.89, 12 Ni 3.18-3.19
2 Y 0.0000 0.5000 0.5000 [1 per cell]  10 Cu 2.87-3.19, 8 Ni 3.19
3 Cu 0.0000 0.0000 0.3309 [2 per cell]  4 Ni 2.45, 2 Cu 2.46
4 Cu 0.0000 0.5000 0.1676 [2 per cell]  6 Ni 2.44-2.46
5 Cu 0.5000 0.0000 0.5000 [1 per cell]  4 Cu 2.46, 4 Ni 2.51
6 Ni 0.5000 0.2516 0.2486 [4 per cell]  5 Cu 2.44-2.51, 3 Ni 2.48-2.51
7 Ni 0.5000 0.5000 0.0000 [1 per cell]  4 Cu 2.46, 4 Ni 2.48

Properties
E_form: -0.271 eV per atom
Crystal system: orthorhombic

***

Record 4
The following is a PBE calculation of an optimized crystal structure of Zn2CuNi, from the Materials Project database.

Cell lengths 2.9331, 2.9331, 5.8286 Å; angles 90.00, 90.00, 90.00 degrees
Last column: nearest neighbours and their distance in Å.
Space group P4/mmm (No. 123)
Asymmetric unit:
1 Zn 0.0000 0.0000 0.2420 [2 per cell]  4 Ni 2.51, 4 Cu 2.56
2 Cu 0.5000 0.5000 0.5000 [1 per cell]  8 Zn 2.56
3 Ni 0.5000 0.5000 0.0000 [1 per cell]  8 Zn 2.51

Properties
E_form: -0.164 eV per atom
Crystal system: tetragonal

***

Record 5
The following is a PBE calculation of an optimized crystal structure of Np3Cu, from the Materials Project database.

Cell lengths 6.4373, 6.4373, 6.4373 Å; angles 90.00, 90.00, 90.00 degrees
Last column: nearest neighbours and their distance in Å.
Space group Fm-3m (No. 225)
Asymmetric unit:
1 Np 0.0000 0.0000 0.0000 [4 per cell]  8 Np 2.79
2 Np 0.2500 0.2500 0.2500 [8 per cell]  4 Np 2.79, 4 Cu 2.79
3 Cu 0.0000 0.0000 0.5000 [4 per cell]  8 Np 2.79

Properties
E_form: 0.316 eV per atom
Crystal system: cubic

***

Record 6
The following is a PBE calculation of an optimized crystal structure of NpCuPO, from the Materials Project database.

Cell lengths 3.7694, 3.7694, 8.1903 Å; angles 90.00, 90.00, 90.00 degrees
Last column: nearest neighbours and their distance in Å.
Space group P4/nmm (No. 129, origin choice 2)
Asymmetric unit:
1 Np 0.2500 0.2500 0.1598 [2 per cell]  4 O 2.29
2 Cu 0.2500 0.7500 0.5000 [2 per cell]  4 P 2.37
3 P 0.2500 0.2500 0.6763 [2 per cell]  4 Cu 2.37
4 O 0.2500 0.7500 0.0000 [2 per cell]  4 Np 2.29

Properties
E_form: -1.701 eV per atom
Crystal system: tetragonal

***

Record 7
The following is a PBE calculation of an optimized crystal structure of RbNpCuS3, from the Materials Project database.

Cell lengths 4.0114, 14.5908, 10.2661 Å; angles 90.00, 90.00, 90.00 degrees
Last column: nearest neighbours and their distance in Å.
Space group Cmcm (No. 63)
Asymmetric unit:
1 Rb 0.0000 0.2416 0.2500 [4 per cell]  8 S 3.38-3.66
2 Np 0.0000 0.5000 0.0000 [4 per cell]  6 S 2.69-2.71
3 Cu 0.0000 0.0349 0.7500 [4 per cell]  4 S 2.30-2.40
4 S 0.0000 0.1177 0.5595 [8 per cell]  1 Cu 2.30
5 S 0.0000 0.4447 0.7500 [4 per cell]  2 Cu 2.40

Properties
E_form: -1.423 eV per atom
Crystal system: orthorhombic

***

Record 8
The following is a PBE calculation of an optimized crystal structure of NpCu2Si2, from the Materials Project database.

Cell lengths 3.9504, 3.9504, 10.0318 Å; angles 90.00, 90.00, 90.00 degrees
Last column: nearest neighbours and their distance in Å.
Space group I4/mmm (No. 139)
Asymmetric unit:
1 Np 0.0000 0.0000 0.0000 [2 per cell]  8 Si 3.03, 8 Cu 3.19
2 Cu 0.0000 0.5000 0.2500 [4 per cell]  4 Si 2.38
3 Si 0.0000 0.0000 0.3830 [4 per cell]  1 Si 2.35, 4 Cu 2.38

Properties
E_form: -0.083 eV per atom
Crystal system: tetragonal

***

Record 9
The following is a PBE calculation of an optimized crystal structure of CuO2, from the Materials Project database.

Cell lengths 2.7446, 11.0340, 11.0635 Å; angles 90.00, 90.00, 90.00 degrees
Last column: nearest neighbours and their distance in Å.
Space group Fmmm (No. 69)
Asymmetric unit:
1 Cu 0.0000 0.0000 0.0000 [4 per cell]  4 O 1.80
2 O 0.0000 0.1060 0.5000 [8 per cell]  2 Cu 1.80

Properties
E_form: -0.415 eV per atom
Crystal system: orthorhombic

***

Record 10
The following is a PBE calculation of an optimized crystal structure of Cu8O7, from the Materials Project database.

Cell lengths 8.3946, 8.3946, 8.3946 Å; angles 90.00, 90.00, 90.00 degrees
Last column: nearest neighbours and their distance in Å.
Space group Fm-3m (No. 225)
Asymmetric unit:
1 Cu 0.0000 0.0000 0.2424 [24 per cell]  5 O 2.10-2.16
2 Cu 0.2500 0.2500 0.2500 [8 per cell]  6 O 2.10
3 O 0.0000 0.0000 0.5000 [4 per cell]  6 Cu 2.16
4 O 0.0000 0.2500 0.2500 [24 per cell]  6 Cu 2.10

Properties
Energy above the lowest structure with this stoichiometry: 160.8 meV per atom
E_form: -0.671 eV per atom
Crystal system: cubic

***

Record 11
The following is a PBE calculation of an optimized crystal structure of Cu4O3, from the Materials Project database.

Cell lengths 5.9096, 5.9096, 9.8367 Å; angles 90.00, 90.00, 90.00 degrees
Last column: nearest neighbours and their distance in Å.
Space group I4_1/amd (No. 141, origin choice 2)
Asymmetric unit:
1 Cu 0.0000 0.0000 0.0000 [8 per cell]  2 O 1.84
2 Cu 0.0000 0.0000 0.5000 [8 per cell]  4 O 1.92-2.01
3 O 0.0000 0.2500 0.1120 [8 per cell]  4 Cu 1.84-2.01
4 O 0.0000 0.2500 0.3750 [4 per cell]  4 Cu 1.92

Properties
Energy above the lowest structure with this stoichiometry: 0.0 meV per atom
E_form: -0.807 eV per atom
Crystal system: tetragonal

***

Record 12
The following is a PBE calculation of an optimized crystal structure of CuO2, from the Materials Project database.

Cell lengths 2.9447, 2.9447, 13.6850 Å; angles 90.00, 90.00, 120.00 degrees
Last column: nearest neighbours and their distance in Å.
Space group R-3m (No. 166, hexagonal axes)
Asymmetric unit:
1 Cu 0.0000 0.0000 0.0000 [3 per cell]  6 O 1.94
2 O 0.0000 0.0000 0.2651 [6 per cell]  3 Cu 1.94

Properties
E_form: -0.530 eV per atom
Crystal system: trigonal

***

Record 13
The following is a PBE calculation of an optimized crystal structure of Cu2O, from the Materials Project database.

Cell lengths 4.2878, 4.2878, 4.2878 Å; angles 90.00, 90.00, 90.00 degrees
Last column: nearest neighbours and their distance in Å.
Space group Pn-3m (No. 224, origin choice 2)
Asymmetric unit:
1 Cu 0.0000 0.0000 0.0000 [4 per cell]  2 O 1.86
2 O 0.2500 0.2500 0.2500 [2 per cell]  4 Cu 1.86

Properties
E_form: -0.645 eV per atom
Crystal system: cubic

***

Record 14
The following is a PBE calculation of an optimized crystal structure of Cu5O7, from the Materials Project database.

Cell lengths 2.9169, 9.8297, 17.8794 Å; angles 90.00, 90.00, 90.00 degrees
Last column: nearest neighbours and their distance in Å.
Space group Cmcm (No. 63)
Asymmetric unit:
1 Cu 0.0000 0.0000 0.0000 [4 per cell]  6 O 1.98-2.06
2 Cu 0.0000 0.2674 0.0746 [8 per cell]  2 O 1.85-1.96
3 Cu 0.0000 0.4680 0.6552 [8 per cell]  5 O 1.86-2.08
4 O 0.0000 0.0829 0.6011 [8 per cell]  5 Cu 1.98-2.13
5 O 0.0000 0.1582 0.1586 [8 per cell]  3 Cu 1.85-1.92
6 O 0.0000 0.3587 0.5230 [8 per cell]  5 Cu 1.96-2.12
7 O 0.0000 0.4534 0.2500 [4 per cell]  2 Cu 1.86

Properties
E_form: -0.680 eV per atom
Crystal system: orthorhombic

***

Record 15
The following is a PBE calculation of an optimized crystal structure of CuO2, from the Materials Project database.

Cell lengths 8.2475, 8.2475, 8.2475 Å; angles 90.00, 90.00, 90.00 degrees
Last column: nearest neighbours and their distance in Å.
Space group Fd-3m (No. 227, origin choice 2)
Asymmetric unit:
1 Cu 0.0000 0.0000 0.0000 [16 per cell]  6 O 1.94
2 O 0.0157 0.0157 0.2343 [32 per cell]  3 Cu 1.94

Properties
E_form: -0.519 eV per atom
Crystal system: cubic

***

Record 16
The following is a PBE calculation of an optimized crystal structure of CuO2, from the Materials Project database.

Cell lengths 2.8252, 10.4215, 4.3434 Å; angles 90.00, 90.00, 90.00 degrees
Last column: nearest neighbours and their distance in Å.
Space group Cmcm (No. 63)
Asymmetric unit:
1 Cu 0.0000 0.1673 0.2500 [4 per cell]  4 O 1.86-1.90
2 O 0.0000 0.2110 0.7500 [4 per cell]  2 Cu 1.90
3 O 0.0000 0.4485 0.7500 [4 per cell]  2 Cu 1.86

Properties
E_form: -0.498 eV per atom
Crystal system: orthorhombic

***

Record 17
The following is a PBE calculation of an optimized crystal structure of CuO2, from the Materials Project database.

Cell lengths 9.5093, 2.7438, 11.0360 Å; angles 90.00, 90.00, 90.00 degrees
Last column: nearest neighbours and their distance in Å.
Space group Cmcm (No. 63)
Asymmetric unit:
1 Cu 0.0000 0.1415 0.2500 [4 per cell]  4 O 1.81
2 O 0.0000 0.3582 0.6428 [8 per cell]  2 Cu 1.81

Properties
E_form: -0.418 eV per atom
Crystal system: orthorhombic

***

Record 18
The following is a PBE calculation of an optimized crystal structure of CuO2, from the Materials Project database.

Cell lengths 13.4553, 2.7508, 11.1457 Å; angles 90.00, 90.00, 90.00 degrees
Last column: nearest neighbours and their distance in Å.
Space group Cmcm (No. 63)
Asymmetric unit:
1 Cu 0.0000 0.1225 0.2500 [4 per cell]  4 O 1.81-1.83
2 O 0.0000 0.3721 0.6432 [8 per cell]  2 Cu 1.81-1.83

Properties
E_form: -0.419 eV per atom
Crystal system: orthorhombic

***

Record 19
The following is a PBE calculation of an optimized crystal structure of CuO2, from the Materials Project database.

Cell lengths 2.7478, 5.7841, 5.8511 Å; angles 86.80, 76.42, 76.26 degrees
Last column: nearest neighbours and their distance in Å.
Space group P1 (No. 1)
Asymmetric unit:
1 Cu 0.0000 0.0000 0.0000 [1 per cell]  4 O 1.79-1.84
2 O 0.3983 0.2149 0.9838 [1 per cell]  2 Cu 1.83-1.84
3 O 0.5978 0.7918 0.0012 [1 per cell]  2 Cu 1.79-1.82

Properties
E_form: -0.400 eV per atom
Crystal system: triclinic

***

Record 20
The following is a PBE calculation of an optimized crystal structure of Cu4O3, from the Materials Project database.

Cell lengths 4.0484, 4.0484, 9.3865 Å; angles 90.00, 90.00, 90.00 degrees
Last column: nearest neighbours and their distance in Å.
Space group P4/nmm (No. 129, origin choice 2)
Asymmetric unit:
1 Cu 0.2500 0.2500 0.2040 [2 per cell]  4 O 2.02
2 Cu 0.2500 0.2500 0.7634 [2 per cell]  4 O 2.05
3 Cu 0.2500 0.7500 0.0000 [2 per cell]  2 O 1.90
4 Cu 0.2500 0.7500 0.5000 [2 per cell]  4 O 2.03
5 O 0.2500 0.2500 0.5081 [2 per cell]  4 Cu 2.03
6 O 0.2500 0.7500 0.2028 [4 per cell]  5 Cu 1.90-2.05

Properties
Energy above the lowest structure with this stoichiometry: 101.0 meV per atom
E_form: -0.706 eV per atom
Crystal system: tetragonal

***

Record 21
The following is a PBE calculation of an optimized crystal structure of Cu8O7, from the Materials Project database.

Cell lengths 11.4872, 5.8840, 5.8998 Å; angles 90.00, 120.08, 90.00 degrees
Last column: nearest neighbours and their distance in Å.
Space group Cm (No. 8)
Asymmetric unit:
1 Cu 0.0000 0.0000 0.0000 [2 per cell]  2 O 1.86-1.87
2 Cu 0.0069 0.5000 0.0365 [2 per cell]  4 O 1.88-1.95
3 Cu 0.2438 0.0000 0.5284 [2 per cell]  4 O 1.93-1.95
4 Cu 0.2550 0.2465 0.0277 [4 per cell]  4 O 1.91-2.01
5 Cu 0.2648 0.5000 0.5277 [2 per cell]  3 O 1.89-2.04
6 Cu 0.4979 0.2529 0.5434 [4 per cell]  3 O 1.85-2.05
7 O 0.0568 0.0000 0.4340 [2 per cell]  3 Cu 1.85-1.93
8 O 0.0631 0.5000 0.3960 [2 per cell]  4 Cu 1.88-2.05
9 O 0.1879 0.0000 0.1584 [2 per cell]  4 Cu 1.87-1.97
10 O 0.1982 0.5000 0.1584 [2 per cell]  4 Cu 1.91-1.94
11 O 0.3152 0.0000 0.9023 [2 per cell]  4 Cu 1.91-1.93
12 O 0.3174 0.5000 0.8866 [2 per cell]  4 Cu 1.86-2.01
13 O 0.4374 0.0000 0.6590 [2 per cell]  4 Cu 1.91-1.95

Properties
Energy above the lowest structure with this stoichiometry: 0.0 meV per atom
E_form: -0.832 eV per atom
Crystal system: monoclinic